1.
This record from the Materials Project database describes a relaxed structure of NaCe4I7N2. The functional is PBE-GGA.

space group	P2_1, No. 4
formation energy	-20.811	eV/f.u.
total moment	14.00	μB per cell

Cell lengths 11.1800, 11.9258, 14.3306 Å; angles 89.99, 89.83, 90.01 degrees
Fractional coordinates of all 56 atoms:
Ce1 0.3770 0.5775 0.9150
Ce2 0.6210 0.8133 0.9127
Ce3 0.5858 0.3198 0.8987
Ce4 0.1205 0.3131 0.5871
Ce5 0.8763 0.0772 0.5856
Ce6 0.8956 0.5567 0.5876
Ce7 0.4144 0.8197 0.1014
Ce8 0.3955 0.0566 0.9123
Ce9 0.6048 0.5569 0.0879
Ce10 0.6232 0.0772 0.0852
Ce11 0.9136 0.3193 0.3988
Ce12 0.0858 0.8198 0.6013
Ce13 0.1043 0.0567 0.4123
Ce14 0.8790 0.8137 0.4129
Ce15 0.1240 0.5773 0.4144
Ce16 0.3793 0.3133 0.0872
I1 0.3119 0.7889 0.4707
I2 0.9268 0.5366 0.2508
I3 0.1886 0.7886 0.9711
I4 0.9000 0.3298 0.7351
I5 0.5994 0.3297 0.2350
I6 0.8700 0.0873 0.2752
I7 0.6823 0.6104 0.4482
I8 0.4262 0.0367 0.2493
I9 0.3693 0.5873 0.2251
I10 0.1844 0.2983 0.2988
I11 0.0998 0.8298 0.2648
I12 0.1299 0.5877 0.7246
I13 0.1817 0.1105 0.0522
I14 0.8486 0.9581 0.9816
I15 0.3160 0.2984 0.7987
I16 0.3489 0.4580 0.5181
I17 0.6307 0.0873 0.7749
I18 0.8183 0.6105 0.9477
I19 0.6840 0.7984 0.2014
I20 0.5738 0.5369 0.7505
I21 0.6881 0.2886 0.5294
I22 0.0732 0.0368 0.7493
I23 0.8156 0.7985 0.7012
I24 0.4007 0.8297 0.7650
I25 0.6509 0.9583 0.4821
I26 0.3177 0.1102 0.5519
I27 0.1515 0.4581 0.0183
I28 0.8115 0.2888 0.0290
N1 0.4963 0.1913 0.9970
N2 0.9965 0.6913 0.5026
N3 0.0127 0.4423 0.4963
N4 0.0034 0.1913 0.4971
N5 0.5040 0.6915 0.0031
N6 0.5128 0.9423 0.0032
N7 0.9871 0.9425 0.5035
N8 0.4875 0.4426 0.9968
Na1 0.9526 0.7497 0.0936
Na2 0.0473 0.2497 0.9064
Na3 0.4529 0.2497 0.4066
Na4 0.5469 0.7498 0.5934

2.
This record from the Materials Project database describes a relaxed structure of GdEr4Al15. The functional is PBE-GGA.

space group	R-3m, No. 166
formation energy	-8.349	eV/f.u.
total moment	6.88	μB per cell

Cell lengths 12.4145, 12.4145, 12.4145 Å; angles 28.45, 28.45, 28.45 degrees
Fractional coordinates of all 20 atoms:
Er1 0.1310 0.1310 0.1310
Er2 0.4002 0.4002 0.4002
Er3 0.5998 0.5998 0.5998
Er4 0.8690 0.8690 0.8690
Al1 0.1155 0.5692 0.1155
Al2 0.3633 0.3633 0.8712
Al3 0.5692 0.1155 0.1155
Al4 0.0000 0.5000 0.5000
Al5 0.6367 0.6367 0.1288
Al6 0.5000 0.5000 0.0000
Al7 0.1155 0.1155 0.5692
Al8 0.3633 0.8712 0.3633
Al9 0.8845 0.4308 0.8845
Al10 0.5000 0.0000 0.5000
Al11 0.4308 0.8845 0.8845
Al12 0.1288 0.6367 0.6367
Al13 0.8712 0.3633 0.3633
Al14 0.8845 0.8845 0.4308
Al15 0.6367 0.1288 0.6367
Gd1 0.0000 0.0000 0.0000

3.
This record from the Materials Project database describes a relaxed structure of Ga2Pd5. The functional is PBE-GGA.

space group	Pnma, No. 62
formation energy	-3.959	eV/f.u.

Cell lengths 4.1231, 5.5226, 18.6758 Å; angles 90.00, 90.00, 90.00 degrees
Fractional coordinates of all 28 atoms:
Pd1 0.2500 0.3619 0.2664
Pd2 0.2500 0.9664 0.0878
Pd3 0.2500 0.8304 0.5306
Pd4 0.7500 0.5355 0.8818
Pd5 0.2500 0.4645 0.1182
Pd6 0.7500 0.1381 0.7664
Pd7 0.2500 0.8619 0.2336
Pd8 0.2500 0.3348 0.6800
Pd9 0.7500 0.0336 0.9122
Pd10 0.2500 0.4664 0.4122
Pd11 0.7500 0.6381 0.7336
Pd12 0.2500 0.8348 0.8200
Pd13 0.7500 0.1652 0.1800
Pd14 0.7500 0.0355 0.6182
Pd15 0.2500 0.3304 0.9694
Pd16 0.7500 0.1696 0.4694
Pd17 0.7500 0.6652 0.3200
Pd18 0.7500 0.5336 0.5878
Pd19 0.2500 0.9645 0.3818
Pd20 0.7500 0.6696 0.0306
Ga1 0.7500 0.6680 0.1761
Ga2 0.7500 0.7033 0.4560
Ga3 0.2500 0.2967 0.5440
Ga4 0.2500 0.8320 0.6761
Ga5 0.7500 0.1680 0.3239
Ga6 0.2500 0.7967 0.9560
Ga7 0.7500 0.2033 0.0440
Ga8 0.2500 0.3320 0.8239

4.
This record from the Materials Project database describes a relaxed structure of K3IO5. The functional is PBE-GGA.

space group	P4/ncc, No. 130
formation energy	-13.643	eV/f.u.
total moment	0.00	μB per cell

Cell lengths 6.3176, 6.3176, 16.8644 Å; angles 90.00, 90.00, 90.00 degrees
Fractional coordinates of all 36 atoms:
O1 0.2834 0.1939 0.1061
O2 0.1939 0.7166 0.8939
O3 0.3061 0.7834 0.1061
O4 0.7834 0.3061 0.3939
O5 0.3061 0.2166 0.6061
O6 0.2166 0.6939 0.3939
O7 0.7834 0.6939 0.8939
O8 0.0000 0.5000 0.7631
O9 0.6939 0.7834 0.6061
O10 0.6939 0.2166 0.1061
O11 0.7166 0.1939 0.6061
O12 0.2166 0.3061 0.8939
O13 0.7166 0.8061 0.1061
O14 0.5000 0.0000 0.2369
O15 0.0000 0.5000 0.2631
O16 0.2834 0.8061 0.6061
O17 0.8061 0.7166 0.3939
O18 0.8061 0.2834 0.8939
O19 0.1939 0.2834 0.3939
O20 0.5000 0.0000 0.7369
K1 0.5000 0.5000 0.5000
K2 0.5000 0.0000 0.8881
K3 0.5000 0.5000 0.7500
K4 0.5000 0.5000 0.0000
K5 0.0000 0.5000 0.6119
K6 0.0000 0.0000 0.7500
K7 0.0000 0.0000 0.0000
K8 0.5000 0.0000 0.3881
K9 0.0000 0.0000 0.2500
K10 0.5000 0.5000 0.2500
K11 0.0000 0.0000 0.5000
K12 0.0000 0.5000 0.1119
I1 0.5000 0.0000 0.1285
I2 0.5000 0.0000 0.6285
I3 0.0000 0.5000 0.8715
I4 0.0000 0.5000 0.3715

5.
This record from the Materials Project database describes a relaxed structure of KRb2InF6. The functional is PBE-GGA.

space group	Fm-3m, No. 225
formation energy	-29.883	eV/f.u.
total moment	0.00	μB per cell

Cell lengths 6.5738, 6.5738, 6.5738 Å; angles 60.00, 60.00, 60.00 degrees
Fractional coordinates of all 10 atoms:
F1 0.2266 0.7734 0.7734
F2 0.7734 0.2266 0.7734
F3 0.7734 0.7734 0.2266
F4 0.2266 0.2266 0.7734
F5 0.2266 0.7734 0.2266
F6 0.7734 0.2266 0.2266
Rb1 0.7500 0.7500 0.7500
Rb2 0.2500 0.2500 0.2500
K1 0.5000 0.5000 0.5000
In1 0.0000 0.0000 0.0000

6.
This record from the Materials Project database describes a relaxed structure of Sb4S3N6O12F12. The functional is PBE-GGA.

space group	P1, No. 1
formation energy	-31.274	eV/f.u.
total moment	54.24	μB per cell

Cell lengths 7.4945, 17.7941, 17.7963 Å; angles 60.23, 89.39, 89.18 degrees
Fractional coordinates of all 111 atoms:
N1 0.0965 0.6068 0.9459
N2 0.6306 0.5879 0.3494
N3 0.4210 0.3017 0.6030
N4 0.3112 0.3992 0.8402
N5 0.3189 0.7615 0.3992
N6 0.6278 0.0631 0.5881
N7 0.4197 0.6016 0.0960
N8 0.4203 0.0956 0.3030
N9 0.9774 0.7240 0.2043
N10 0.7869 0.9494 0.2734
N11 0.7877 0.7768 0.9491
N12 0.9746 0.0712 0.7249
N13 0.3106 0.8388 0.7615
N14 0.6211 0.3492 0.0635
N15 0.1008 0.4474 0.6067
N16 0.9738 0.2042 0.0720
N17 0.1047 0.9440 0.4484
N18 0.7878 0.2735 0.7765
O1 0.2546 0.7815 0.9863
O2 0.9612 0.6631 0.5786
O3 0.0436 0.3517 0.4750
O4 0.4295 0.9113 0.9205
O5 0.9675 0.5800 0.7618
O6 0.8236 0.5645 0.1184
O7 0.8048 0.1427 0.2815
O8 0.3109 0.8625 0.0647
O9 0.7576 0.2319 0.3507
O10 0.0514 0.4471 0.1866
O11 0.7305 0.4197 0.2249
O12 0.3116 0.0726 0.8641
O13 0.6876 0.6746 0.5062
O14 0.9872 0.7658 0.6579
O15 0.9345 0.8565 0.7228
O16 0.6878 0.8218 0.6543
O17 0.1031 0.9204 0.9493
O18 0.7569 0.3571 0.4111
O19 0.4284 0.1695 0.9114
O20 0.2543 0.9869 0.2337
O21 0.0546 0.1802 0.3456
O22 0.8058 0.8033 0.5101
O23 0.6955 0.5046 0.8252
O24 0.1048 0.9495 0.1328
O25 0.9122 0.5036 0.2713
O26 0.1027 0.1333 0.9203
O27 0.2539 0.2322 0.7811
O28 0.8054 0.7105 0.7914
O29 0.9095 0.2915 0.2103
O30 0.7789 0.2979 0.5687
O31 0.9054 0.2157 0.5043
O32 0.9661 0.4198 0.8429
O33 0.3095 0.0651 0.0741
O34 0.4320 0.9213 0.1678
O35 0.8250 0.4966 0.7014
O36 0.9481 0.7546 0.4186
F1 0.2733 0.5735 0.6710
F2 0.5832 0.1287 0.1359
F3 0.3438 0.0843 0.4722
F4 0.3486 0.4687 0.4466
F5 0.4775 0.4169 0.6849
F6 0.7510 0.9782 0.4759
F7 0.5839 0.1347 0.7355
F8 0.2606 0.5800 0.2634
F9 0.2572 0.1557 0.5873
F10 0.6779 0.2365 0.9663
F11 0.6940 0.0648 0.0346
F12 0.6809 0.7967 0.2370
F13 0.4474 0.4269 0.3180
F14 0.5873 0.7354 0.1283
F15 0.4744 0.6809 0.8977
F16 0.2462 0.2661 0.1675
F17 0.3186 0.4352 0.0968
F18 0.3277 0.2439 0.0162
F19 0.7285 0.5489 0.9652
F20 0.3321 0.0114 0.7438
F21 0.0241 0.0455 0.5594
F22 0.4904 0.8784 0.4377
F23 0.3989 0.5708 0.5198
F24 0.4506 0.3135 0.2617
F25 0.0225 0.5593 0.3964
F26 0.4125 0.8980 0.5730
F27 0.4608 0.2554 0.4322
F28 0.3307 0.7449 0.2444
F29 0.6992 0.8990 0.0654
F30 0.6822 0.9641 0.7976
F31 0.6982 0.0324 0.8999
F32 0.9985 0.4008 0.0369
F33 0.2718 0.6670 0.7542
F34 0.3920 0.5137 0.9197
F35 0.7305 0.4826 0.5497
F36 0.2785 0.7465 0.5798
Sb1 0.4951 0.8160 0.1587
Sb2 0.1138 0.3669 0.1415
Sb3 0.5746 0.5991 0.8675
Sb4 0.4926 0.1584 0.0259
Sb5 0.6227 0.8746 0.5292
Sb6 0.4948 0.0249 0.8159
Sb7 0.5820 0.5267 0.6064
Sb8 0.1603 0.4866 0.3675
Sb9 0.6022 0.3332 0.3351
Sb10 0.8847 0.9983 0.9995
Sb11 0.1273 0.6640 0.6677
Sb12 0.1570 0.1481 0.4928
S1 0.2636 0.9784 0.1581
S2 0.8634 0.4948 0.7845
S3 0.2624 0.1580 0.8654
S4 0.8499 0.7231 0.4976
S5 0.8618 0.7887 0.7129
S6 0.8722 0.4907 0.1984
S7 0.8844 0.2048 0.2989
S8 0.2643 0.8650 0.9779
S9 0.8723 0.3033 0.4958